P) SrCa7Ti3Mn5O21 | PBE+U | relaxed

Structure (extended XYZ):
```
37
Lattice="7.797 0.000 0.000 0.079 7.818 0.000 0.107 0.068 7.929" Properties=species:S:1:pos:R:3 pbc="T T T"
Sr 0.000 0.000 0.000
Ca 0.159 4.138 3.851
Ca 0.359 4.293 7.732
Ca 0.285 0.053 4.188
Ca 3.773 7.569 0.171
Ca 3.849 4.219 3.920
Ca 3.976 4.465 7.914
Ca 3.976 7.753 3.667
Ti 2.214 2.156 6.001
Ti 5.775 2.180 1.985
Ti 5.835 2.271 6.210
Mn 1.735 2.090 2.101
Mn 1.979 5.951 2.021
Mn 2.200 6.053 5.945
Mn 5.888 5.987 1.968
Mn 6.150 6.018 5.877
O 0.270 6.160 6.037
O 1.442 2.125 7.744
O 1.474 2.238 4.357
O 1.489 4.101 1.896
O 1.976 5.902 3.921
O 2.000 6.046 0.103
O 2.036 0.075 2.076
O 2.186 4.123 6.170
O 2.302 0.205 5.942
O 3.936 5.692 1.997
O 4.090 2.333 5.728
O 4.081 2.176 2.757
O 4.187 5.920 5.933
O 5.488 0.084 1.631
O 5.692 2.444 0.100
O 6.124 5.794 7.927
O 6.112 4.070 2.301
O 6.235 6.346 3.864
O 6.547 0.662 5.863
O 6.621 3.776 5.637
O 7.374 1.721 2.668
```

Properties
SG	P1 (1)

Q) SrCa7Ti3Mn5O21 | PBE+U | relaxed

Structure (extended XYZ):
```
148
Lattice="11.185 0.000 0.000 -0.243 11.229 0.000 -0.035 -0.106 15.562" Properties=species:S:1:pos:R:3 pbc="T T T"
Sr 0.000 0.000 0.000
Sr 0.088 0.179 4.104
Sr 3.264 8.465 0.037
Sr 8.565 3.142 4.132
Ca 0.138 5.729 11.475
Ca 0.159 5.896 15.551
Ca 0.231 5.997 7.665
Ca 0.262 5.830 4.017
Ca 0.607 0.135 7.758
Ca 0.619 0.038 11.817
Ca 2.822 3.426 15.549
Ca 3.078 2.849 11.549
Ca 3.090 8.122 4.136
Ca 3.214 3.392 7.894
Ca 3.122 8.177 11.609
Ca 3.339 2.955 3.969
Ca 3.229 8.558 7.753
Ca 5.569 0.364 7.881
Ca 5.355 11.145 11.535
Ca 5.679 5.448 11.543
Ca 5.810 -0.076 15.363
Ca 5.809 6.046 7.837
Ca 5.850 6.049 0.092
Ca 5.991 0.037 4.407
Ca 5.957 5.561 4.221
Ca 8.326 3.502 7.789
Ca 8.393 3.393 11.445
Ca 8.483 3.568 0.023
Ca 8.509 8.095 11.742
Ca 8.557 8.506 7.727
Ca 8.646 8.233 4.151
Ca 8.745 8.304 15.495
Ti 0.247 8.653 5.894
Ti 0.294 8.400 13.554
Ti 0.384 8.459 2.050
Ti 0.389 8.593 9.727
Ti 2.590 0.359 1.819
Ti 3.258 -0.056 13.634
Ti 5.834 8.368 13.543
Ti 6.080 8.651 2.137
Ti 7.985 0.382 1.854
Ti 8.463 0.348 9.681
Ti 8.789 0.206 6.326
Ti 8.943 0.030 13.184
Mn -0.062 3.006 13.450
Mn 0.262 3.102 5.823
Mn 0.416 3.160 2.118
Mn 0.410 3.154 9.784
Mn 2.846 5.655 13.601
Mn 3.045 0.117 9.708
Mn 3.019 5.787 9.754
Mn 3.062 5.751 1.996
Mn 3.082 5.693 5.889
Mn 3.230 -0.001 5.779
Mn 5.554 2.998 13.630
Mn 5.789 2.984 9.747
Mn 5.848 2.923 5.945
Mn 5.760 8.606 9.792
Mn 5.929 3.145 1.970
Mn 5.822 8.577 5.893
Mn 8.461 5.690 13.649
Mn 8.558 5.912 9.736
Mn 8.640 5.851 5.940
Mn 8.678 5.830 2.007
O -0.177 8.748 7.839
O -0.052 8.617 0.100
O 0.325 8.750 3.914
O 0.663 2.461 11.624
O 0.710 8.779 11.775
O 0.941 2.636 4.040
O 0.814 10.450 9.777
O 0.921 10.434 1.981
O 1.175 4.373 14.140
O 1.219 10.377 5.842
O 1.341 4.826 9.383
O 1.368 4.816 1.629
O 1.320 10.461 13.920
O 1.500 4.499 6.301
O 1.627 1.787 1.083
O 1.619 1.970 8.920
O 1.723 7.564 6.117
O 1.798 7.374 13.890
O 1.855 7.606 9.450
O 1.954 7.672 1.958
O 2.461 5.843 11.659
O 2.621 5.769 3.960
O 2.935 0.472 11.907
O 2.993 11.038 7.733
O 3.246 0.564 3.515
O 3.469 5.872 0.043
O 3.475 5.826 7.839
O 3.405 10.931 0.511
O 3.868 4.064 13.382
O 4.079 3.816 1.963
O 4.120 4.171 9.991
O 4.092 9.698 10.088
O 4.298 4.081 5.712
O 4.189 9.796 13.406
O 4.372 1.394 14.136
O 4.228 9.667 5.469
O 4.681 1.285 5.813
O 4.676 1.382 9.941
O 4.573 6.897 5.542
O 4.571 6.902 10.150
O 4.704 7.404 2.206
O 4.715 6.997 13.345
O 5.552 2.782 7.843
O 5.462 8.458 7.830
O 5.746 8.756 15.506
O 6.067 2.854 3.983
O 6.123 2.987 11.684
O 6.143 10.677 2.088
O 6.246 8.873 11.801
O 6.349 8.878 3.970
O 6.753 4.418 14.282
O 6.753 10.588 9.658
O 6.936 4.617 9.483
O 6.992 4.864 1.748
O 7.020 4.574 6.124
O 7.177 -0.051 13.469
O 6.994 10.441 6.362
O 7.201 1.826 0.940
O 7.397 7.440 6.058
O 7.445 7.436 13.816
O 7.452 7.662 9.600
O 7.706 1.793 6.168
O 7.634 7.828 1.858
O 7.838 1.999 9.531
O 8.109 5.760 11.718
O 8.357 5.814 3.953
O 8.783 0.704 3.435
O 8.725 10.627 0.743
O 8.988 5.972 7.856
O 9.018 5.946 0.032
O 9.346 0.256 11.349
O 9.139 11.093 8.143
O 9.440 4.054 13.432
O 9.563 9.986 5.578
O 9.768 3.813 1.987
O 9.655 9.722 13.477
O 9.943 1.347 13.978
O 9.934 4.285 5.937
O 9.960 4.190 9.974
O 10.199 7.378 10.171
O 10.246 7.151 5.641
O 10.340 7.026 2.260
O 10.329 7.026 13.287
O 10.513 1.451 6.158
```

Properties
SG	P1 (1)

Least stable structure: P)